(1)
28
Lattice="5.4848 3.1553 -0.0109 -5.4848 3.1553 -0.0109 0.0000 0.2061 14.7637" Properties=species:S:1:pos:R:3 comment="Cs3V2O2F7, optimized geometry, DFT r²SCAN" formation_energy_ev_per_fu=-42.86 crystal_system=monoclinic pbc="T T T"
F -0.7364 5.0496 13.3173
F 3.8642 3.2349 1.3702
Cs -1.8210 3.1676 0.9790
Cs -1.8210 3.2461 6.3810
O 0.7901 4.9985 1.3621
F -0.7364 1.5701 8.8064
O 0.7901 1.4151 5.9979
F -3.8642 3.3379 8.7521
Cs -1.8550 3.3099 11.0619
Cs 1.8210 3.2706 8.3609
O -0.7901 5.1016 8.7440
F -4.0486 3.2068 3.6800
F 4.0486 3.3099 11.0619
F 0.7364 1.4671 1.4245
F -0.7555 1.2957 3.7397
V -0.0599 0.3177 12.5613
Cs 1.8210 3.3491 13.7628
F 0.7555 5.2210 11.0022
V 0.0599 0.2146 5.1794
F -3.8642 3.2818 13.3716
V -0.0599 6.3021 9.5624
F 0.7364 4.9466 5.9355
V 0.0599 6.1990 2.1806
F 3.8642 3.1788 5.9898
O -0.7901 1.5182 13.3797
F 0.7555 1.3988 11.1216
Cs 1.8550 3.2068 3.6800
F -0.7555 5.1179 3.6203

(2)
7
Lattice="5.2266 0.0056 -1.5233 -2.9399 4.3214 -1.5233 -0.0030 -0.0056 5.4441" Properties=species:S:1:pos:R:3 comment="BaNi2P4, optimized geometry, DFT r²SCAN" formation_energy_ev_per_fu=-5.00 crystal_system=tetragonal pbc="T T T"
P 1.8551 1.1098 2.9686
Ni -0.8997 3.2396 1.1987
Ba 0.0000 0.0000 0.0000
P -0.1282 2.1579 2.9686
Ni 3.1835 1.0817 1.1987
P 2.4119 2.1635 -0.5711
P 0.4287 3.2116 -0.5711

(3)
3
Lattice="3.1834 0.0000 -1.1603 -0.4229 3.1552 -1.1603 0.0158 0.0180 4.9903" Properties=species:S:1:pos:R:3 comment="MnAu2, optimized geometry, DFT r²SCAN" formation_energy_ev_per_fu=-1.07 crystal_system=tetragonal pbc="T T T"
Mn 0.0000 0.0000 0.0000
Au 0.9484 1.0840 2.6019
Au 1.8279 2.0892 0.0678

(4)
7
Lattice="-4.8424 1.8410 -1.3198 -2.2558 -3.6361 3.2047 -3.3443 2.5428 4.9902" Properties=species:S:1:pos:R:3 comment="Lu3S4, optimized geometry, DFT r²SCAN" formation_energy_ev_per_fu=-16.03 crystal_system=tetragonal pbc="T T T"
Lu -4.5746 -0.9954 4.5687
S -2.4212 0.9205 -0.6599
S -1.1279 -1.8181 1.6023
S -6.9956 -0.0708 3.9136
S -3.4470 0.8185 2.9615
Lu -3.5491 -0.8976 0.9425
Lu -5.8679 1.7432 2.3065

(5)
64
Lattice="8.9412 0.0000 0.0000 0.0000 8.9412 0.0000 0.0000 0.0000 13.5134" Properties=species:S:1:pos:R:3 comment="NaSn2F5, optimized geometry, DFT r²SCAN" formation_energy_ev_per_fu=-20.51 crystal_system=tetragonal pbc="T T T"
F 7.0204 5.6379 9.4671
F 8.1248 3.1238 8.3046
Na 4.4706 0.0000 6.7567
Na 4.4706 0.0000 0.0000
Na 4.4706 0.0000 10.1351
F 5.6379 7.0204 2.7104
F 6.1798 7.2320 0.0000
Sn 5.9238 2.8768 1.7896
F 6.1798 1.7092 6.7567
Sn 5.9238 6.0644 4.9672
Sn 2.8768 5.9238 8.5463
F 3.1238 0.8165 5.2088
F 2.5498 7.7740 9.4671
F 5.8175 8.1248 5.2088
F 3.6542 7.5944 11.9655
Sn 6.0644 3.0175 8.5463
F 1.3468 5.2871 5.2088
F 8.1248 5.8175 11.9655
F 1.7092 6.1798 0.0000
F 5.2871 1.3468 11.9655
F 2.7614 7.2320 6.7567
F 0.8165 5.8175 8.3046
F 7.5944 3.6542 5.2088
Sn 7.4881 7.3474 1.7896
Na 0.0000 4.4706 6.7567
F 7.7740 2.5498 2.7104
Sn 7.4881 1.5938 4.9672
Na 0.0000 4.4706 0.0000
F 3.6542 1.3468 8.3046
F 6.3914 7.7740 10.8030
F 1.9208 5.6379 10.8030
Sn 1.4531 1.5938 1.7896
F 1.3468 3.6542 1.5479
Na 0.0000 4.4706 10.1351
Sn 2.8768 3.0175 11.7239
Sn 1.4531 7.3474 4.9672
F 1.7092 2.7614 6.7567
F 1.9208 3.3034 9.4671
Sn 7.3474 7.4881 8.5463
F 1.1673 6.3914 2.7104
F 7.7740 6.3914 4.0463
Sn 3.0175 2.8768 4.9672
F 2.7614 1.7092 0.0000
F 7.0204 3.3034 10.8030
F 5.8175 0.8165 1.5479
Sn 7.3474 1.4531 11.7239
F 7.2320 6.1798 6.7567
Na 0.0000 4.4706 3.3784
Sn 1.5938 1.4531 8.5463
F 7.5944 5.2871 1.5479
F 7.2320 2.7614 0.0000
F 3.3034 7.0204 4.0463
Sn 1.5938 7.4881 11.7239
F 5.2871 7.5944 8.3046
F 1.1673 2.5498 4.0463
Sn 3.0175 6.0644 1.7896
F 3.1238 8.1248 1.5479
Sn 6.0644 5.9238 11.7239
F 6.3914 1.1673 9.4671
F 2.5498 1.1673 10.8030
F 0.8165 3.1238 11.9655
F 5.6379 1.9208 4.0463
F 3.3034 1.9208 2.7104
Na 4.4706 0.0000 3.3784

(6)
12
Lattice="4.5407 0.0000 0.0000 -2.2704 3.9324 0.0000 0.0000 0.0000 16.9852" Properties=species:S:1:pos:R:3 comment="PrZnSn, optimized geometry, DFT r²SCAN" formation_energy_ev_per_fu=-2.20 crystal_system=hexagonal pbc="T T T"
Zn 0.0000 2.6216 2.6539
Zn 0.0000 2.6216 5.8387
Sn 0.0000 2.6216 15.0037
Pr 0.0000 0.0000 8.4926
Pr 0.0000 0.0000 12.7389
Zn 2.2704 1.3108 14.3313
Sn 2.2704 1.3108 1.9815
Sn 0.0000 2.6216 10.4741
Pr 0.0000 0.0000 0.0000
Zn 2.2704 1.3108 11.1465
Sn 2.2704 1.3108 6.5111
Pr 0.0000 0.0000 4.2463